[1]
# Li2EuSiO4

A relaxed structure of Li2EuSiO4 (PBE, the Materials Project database).

Lattice parameters (Å, degrees): 5.051 5.051 12.488 90.00 90.00 120.00
Positions (direct):
Li: 0.407 0.073 0.079
Li: 0.927 0.334 0.413
Li: 0.666 0.593 0.746
Li: 0.334 0.927 0.587
Li: 0.593 0.666 0.254
Li: 0.073 0.407 0.921
Eu: 0.000 0.421 0.167
Eu: 0.421 0.000 0.833
Eu: 0.579 0.579 0.500
Si: 0.723 0.723 0.000
Si: 0.000 0.277 0.667
Si: 0.277 0.000 0.333
O: 0.239 0.308 0.329
O: 0.069 0.761 0.996
O: 0.549 0.514 0.107
O: 0.692 0.931 0.663
O: 0.308 0.239 0.671
O: 0.931 0.692 0.337
O: 0.036 0.486 0.560
O: 0.486 0.036 0.440
O: 0.964 0.451 0.773
O: 0.514 0.549 0.893
O: 0.451 0.964 0.227
O: 0.761 0.069 0.004

Results
**Crystal system**: trigonal
**ΔE_f**: -2.99 eV per atom
**Energy**: -7.557 eV per atom
**Space-group type**: P3_121

[2]
# LaTiNbO6

A relaxed structure of LaTiNbO6 (PBE, the Materials Project database).

Lattice parameters (Å, degrees): 7.198 7.198 5.322 70.54 70.54 76.85
Positions (direct):
La: 0.189 0.811 0.500
La: 0.812 0.188 0.000
Ti: 0.651 0.817 0.800
Ti: 0.183 0.349 0.200
Nb: 0.350 0.189 0.696
Nb: 0.811 0.650 0.304
O: 0.899 0.821 0.901
O: 0.179 0.101 0.099
O: 0.100 0.180 0.596
O: 0.820 0.900 0.404
O: 0.556 0.722 0.210
O: 0.278 0.444 0.790
O: 0.441 0.280 0.283
O: 0.720 0.559 0.717
O: 0.115 0.597 0.278
O: 0.403 0.885 0.722
O: 0.888 0.395 0.222
O: 0.605 0.112 0.778

Results
**Crystal system**: monoclinic
**ΔE_f**: -3.52 eV per atom
**Energy**: -8.908 eV per atom
**Space-group type**: C2